## Y2HfO5 (GGA-PBE)

Data for Y2HfO5 after structural relaxation.

Geometry as extended XYZ:
```
32
Lattice="3.7775 0.0000 0.0000 0.0000 7.5426 0.0000 0.0000 0.0000 15.7741" Properties=species:S:1:pos:R:3 pbc="T T T"
O 0.9444 2.9438 2.3886
O 2.8332 4.8813 7.8523
O 0.9444 6.9034 12.9595
Hf 2.8332 6.6473 9.0333
Hf 0.9444 4.6667 1.1463
Y 0.9444 4.9053 12.0248
O 2.8332 4.4105 5.0725
Hf 0.9444 0.8953 6.7407
Y 2.8332 2.6373 3.7492
Y 2.8332 6.8857 14.3548
O 2.8332 0.5925 7.2761
O 0.9444 3.1321 10.7016
O 2.8332 4.3638 0.6109
Y 0.9444 0.6569 1.4192
O 2.8332 1.1100 0.0348
O 0.9444 6.4326 15.7393
O 2.8332 5.3838 10.6157
O 0.9444 3.1788 15.1631
O 2.8332 0.6392 2.8146
O 2.8332 4.5988 13.3854
O 2.8332 1.6125 13.0454
O 0.9444 2.6613 7.9218
Y 2.8332 3.1144 9.3063
Y 2.8332 6.4087 4.1378
O 0.9444 6.9501 8.4980
O 0.9444 6.7152 5.4984
Y 0.9444 4.4283 6.4678
O 0.9444 2.1588 5.1583
Y 0.9444 1.1340 11.6363
O 2.8332 0.8275 10.2757
O 0.9444 5.9301 2.7287
Hf 2.8332 2.8760 14.6278
```

- energy of formation (meV per atom) = -3984
- MP2020-corrected energy (eV/atom) = -9.94
- energy above the lowest structure with this stoichiometry (eV per atom) = 0.004

## Rb3Cr (GGA-PBE)

Data for Rb3Cr after structural relaxation.

Geometry as extended XYZ:
```
4
Lattice="-3.1488 3.1488 6.0639 3.1488 -3.1488 6.0639 3.1488 3.1488 -6.0639" Properties=species:S:1:pos:R:3 pbc="T T T"
Cr 0.0000 0.0000 0.0000
Rb 3.1488 0.0000 3.0320
Rb 0.0000 0.0000 6.0639
Rb 0.0000 3.1488 3.0320
```

- energy of formation (meV per atom) = 709
- magnetization (μB per formula unit) = 5.16
- energy above the lowest structure with this stoichiometry (eV per atom) = 0.017

## Zr2FeB2Ru5 (GGA-PBE)

Data for Zr2FeB2Ru5 after structural relaxation.

Geometry as extended XYZ:
```
20
Lattice="9.3561 0.0000 0.0000 0.0000 9.3561 0.0000 0.0000 0.0000 3.0779" Properties=species:S:1:pos:R:3 pbc="T T T"
B 3.5151 1.1630 0.0000
Ru 6.6759 4.0211 1.5390
Zr 1.6423 3.0358 0.0000
Ru 8.6992 1.9978 1.5390
Fe 0.0000 0.0000 0.0000
Zr 3.0358 7.7138 0.0000
Ru 0.0000 4.6781 1.5390
Ru 0.6569 7.3583 1.5390
Ru 5.3350 6.6759 1.5390
B 5.8410 8.1931 0.0000
B 1.1630 5.8410 0.0000
Ru 4.0211 2.6802 1.5390
B 8.1931 3.5151 0.0000
Zr 7.7138 6.3203 0.0000
Ru 2.6802 5.3350 1.5390
Ru 4.6781 0.0000 1.5390
Zr 6.3203 1.6423 0.0000
Ru 1.9978 0.6569 1.5390
Fe 4.6781 4.6781 0.0000
Ru 7.3583 8.6992 1.5390
```

- energy of formation (meV per atom) = -428
- magnetization (μB per formula unit) = 0.01

## Ca2LaGaCu2O7 (GGA-PBE)

Data for Ca2LaGaCu2O7 after structural relaxation.

Geometry as extended XYZ:
```
26
Lattice="-2.7224 2.8228 11.1152 2.7224 -2.8228 11.1152 2.7224 2.8228 -11.1152" Properties=species:S:1:pos:R:3 pbc="T T T"
O 1.4000 -1.4244 12.6694
O 1.3925 1.4073 -1.6657
O 2.2218 2.1669 -5.5576
O -0.5006 0.6559 16.6728
Ca 0.1782 0.2461 7.6752
Ca 2.9007 2.5767 3.4400
Cu 0.0404 2.8478 9.3064
La 0.0268 0.0000 0.0000
Ca 2.9007 2.5767 7.6752
Cu 2.7629 -0.0250 9.3064
Ga 0.2974 3.2371 5.5576
O 1.4000 1.4244 9.5610
O -1.3225 1.3985 9.5610
Ca 0.1782 0.2461 3.4400
O -0.2113 2.4261 3.9958
O 1.3925 1.4073 12.7809
O 2.5111 0.3967 7.1194
Ga 3.0198 -0.4142 5.5576
O 1.4000 1.4244 1.5542
Cu 0.0404 2.8478 1.8088
O 1.3925 -1.4073 9.4495
Cu 2.7629 -0.0250 1.8088
O -0.2113 2.4261 7.1194
O -1.3300 1.4155 12.7809
La 0.0268 0.0000 11.1152
O 2.5111 0.3967 3.9958
```

- energy of formation (meV per atom) = -2484
- MP2020-corrected energy (eV/atom) = -6.70
- magnetization (μB per formula unit) = 0.00
- energy above the lowest structure with this stoichiometry (eV per atom) = 0.004

## KAl3Si3H2O12 (GGA-PBE)

Data for KAl3Si3H2O12 after structural relaxation.

Geometry as extended XYZ:
```
84
Lattice="9.0865 0.0000 0.0000 0.0000 5.2335 0.0000 0.0000 2.0093 20.3411" Properties=species:S:1:pos:R:3 pbc="T T T"
Al 6.7211 1.4704 12.9169
O 1.7098 5.5854 17.1631
O 4.9931 4.3469 19.2363
O 8.3117 1.7845 13.6179
O 8.5780 0.3009 1.1026
O 0.7748 5.4584 6.7232
O 5.4012 3.4015 3.3811
O 0.5293 2.9536 0.9933
O 2.2556 3.9482 19.2423
O 4.0934 2.8959 1.1047
Si 0.6328 6.7662 17.6085
H 7.7767 4.4036 11.5372
O 6.2954 5.0675 13.3466
K 5.4323 0.5023 5.0853
O 6.8309 3.2947 1.0988
Al 5.3103 2.3015 10.1904
O 5.1416 0.3321 0.9771
Al 6.7211 6.7771 17.5947
O 6.8123 1.7586 11.1861
H 1.3098 2.8393 8.8038
Al 2.3655 0.4658 2.7463
O 7.8477 1.9350 6.7901
O 2.2556 4.2994 11.2693
O 4.9931 3.9006 11.2753
O 7.3767 1.6575 3.1779
H 5.9716 5.4146 9.0792
O 6.2954 3.1800 17.1650
O 8.5780 5.9373 9.0679
Al 2.3655 5.7724 7.4242
O 0.5293 3.2846 9.1773
H 7.7767 3.8439 18.9744
O 7.3767 4.5807 6.9926
Si 3.9163 2.9837 2.7482
K 0.9356 3.1191 5.0853
O 1.7098 2.6622 13.3485
O 1.2389 5.3079 13.5509
Si 5.1702 3.9884 12.9187
O 5.4012 2.8367 6.7895
Si 3.9163 3.2545 7.4224
O 2.2742 0.7539 1.0156
O 3.5334 1.5673 3.4360
Al 8.3043 5.9242 20.3150
O 3.9449 1.3368 11.1476
Si 6.8766 3.1538 2.7136
O 8.3117 6.4630 16.8937
H 3.1150 6.4193 19.2497
O 3.6854 3.8414 16.9600
Si 2.2100 4.1585 12.8842
O 2.7911 2.1754 6.9945
O 4.0934 3.3423 9.0658
O 7.8477 4.3032 3.3804
Si 2.2100 4.0890 17.6274
O 3.9449 6.9108 19.3640
Al 0.7822 1.3187 0.0260
Al 3.7763 4.9414 10.1506
O 5.1416 5.9061 9.1934
O 2.7911 4.0628 3.1761
Si 0.6328 1.4813 12.9031
O 1.2389 2.9397 16.9607
O 6.8309 2.9435 9.0717
O 3.6854 4.4062 13.5516
O 0.5086 6.9420 19.2385
H 1.3098 3.3989 1.3667
O 8.5572 4.2893 19.3478
O 0.7748 0.7799 3.4473
Al 8.3043 2.3234 10.1965
O 6.8123 6.4890 19.3255
K 3.6542 1.5070 15.2558
Si 5.1702 4.2592 17.5929
H 3.1150 1.8283 11.2619
O 5.5531 2.5720 13.6065
O 3.5334 4.6709 6.7346
O 2.2742 5.4843 9.1549
Al 5.3103 5.9461 20.3212
O 5.5531 5.6755 16.9051
H 5.9716 0.8236 1.0913
Si 8.4538 5.7616 7.4380
K 8.1509 4.1238 15.2558
Si 6.8766 3.0844 7.4569
O 8.5572 3.9583 11.1638
Si 8.4538 0.4766 2.7326
Al 3.7763 1.2968 0.0199
O 0.5086 1.3056 11.2731
Al 0.7822 4.9195 10.1445
```

- energy of formation (meV per atom) = -3009
- MP2020-corrected energy (eV/atom) = -7.52
- magnetization (μB per formula unit) = 0.09
- energy above the lowest structure with this stoichiometry (eV per atom) = 0.000

## TiNb2O7 (GGA-PBE)

Data for TiNb2O7 after structural relaxation.

Geometry as extended XYZ:
```
30
Lattice="1.9290 10.4202 0.0000 -1.9290 10.4202 0.0000 0.0000 6.1852 10.3746" Properties=species:S:1:pos:R:3 pbc="T T T"
O 0.0000 20.8918 6.1771
Ti 0.0000 23.1413 6.5566
Nb 0.0000 27.0130 10.3573
O 0.0000 6.0174 8.3414
O 0.0000 16.6450 6.0040
O 0.0000 8.2056 6.4317
O 0.0000 6.0693 0.0507
O 0.0000 14.8000 3.9085
O 0.0000 20.9470 10.3599
Nb 0.0000 10.0068 10.3107
O 0.0000 21.0347 2.0516
O 0.0000 4.0564 6.0487
O 0.0000 3.7748 1.9702
Ti 0.0000 10.1751 6.5744
O 0.0000 8.1687 10.2415
O 0.0000 18.8624 0.1807
O 0.0000 10.1623 8.3633
Nb 0.0000 20.7235 3.8669
O 0.0000 22.8946 4.3464
O 0.0000 18.8301 3.9288
Nb 0.0000 23.2065 10.3295
Nb 0.0000 6.3373 6.5008
O 0.0000 10.3719 4.3730
Nb 0.0000 3.8725 3.8359
O 0.0000 6.1094 4.1871
O 0.0000 16.8453 2.0136
O 0.0000 23.2277 8.4161
O 0.0000 10.4309 0.0145
O 0.0000 12.2050 6.5043
Ti 0.0000 16.9633 3.7481
```

- energy of formation (meV per atom) = -3166
- MP2020-corrected energy (eV/atom) = -9.44
- energy above the lowest structure with this stoichiometry (eV per atom) = 0.004

## ZrCrCuS4 (GGA-PBE)

Data for ZrCrCuS4 after structural relaxation.

Geometry as extended XYZ:
```
7
Lattice="1.7937 6.5404 0.0000 -1.7937 6.5404 0.0000 0.0000 2.7828 5.4047" Properties=species:S:1:pos:R:3 pbc="T T T"
Cu 0.0000 7.9220 2.6508
Cr 0.0000 5.3151 4.1853
S 0.0000 3.2369 2.9134
S 0.0000 8.2138 0.2255
S 0.0000 7.6370 5.0468
S 0.0000 12.6592 2.7117
Zr 0.0000 10.5389 1.1829
```

- energy of formation (meV per atom) = -1181
- MP2020-corrected energy (eV/atom) = -6.73
- magnetization (μB per formula unit) = 3.00
- energy above the lowest structure with this stoichiometry (eV per atom) = 0.076

## SrGa4O7 (GGA-PBE)

Data for SrGa4O7 after structural relaxation.

Geometry as extended XYZ:
```
24
Lattice="-6.0026 -4.3023 -3.7089 -2.9024 -5.9726 4.9194 -4.7966 2.3666 2.1815" Properties=species:S:1:pos:R:3 pbc="T T T"
Ga -4.1220 -2.8431 1.8094
O -6.6048 -4.1411 6.2635
O -3.8436 -3.7213 0.1797
O -10.4051 -3.9204 0.4059
Ga -11.2887 -7.3565 3.2562
O -6.4214 -5.9578 3.7277
O -10.2611 -6.8294 1.7435
Ga -4.4266 0.4243 2.2969
O -5.9456 -2.6976 2.0950
O -6.2215 0.3106 1.6742
O -3.4405 -1.0789 1.6486
O -7.7559 -5.2108 1.2971
Ga -7.0615 -1.3682 1.3937
Ga -9.5796 -5.0653 1.5827
O -7.0968 -3.7672 -2.8714
Ga -9.2749 -8.3327 1.0952
O -7.2802 -1.9506 -0.3356
Ga -6.6400 -6.5402 1.9984
Ga -2.4128 -0.5518 0.1359
Sr -7.4638 -3.6783 3.8726
O -7.4801 -8.2189 1.7179
O -3.2964 -3.9880 2.9862
O -9.8580 -4.1871 3.2124
Sr -6.2377 -4.2301 -0.4805
```

- energy of formation (meV per atom) = -2502
- MP2020-corrected energy (eV/atom) = -6.54

## Ba2C4O9 (GGA-PBE)

Data for Ba2C4O9 after structural relaxation.

Geometry as extended XYZ:
```
30
Lattice="6.2881 0.0358 0.5695 0.6153 7.8567 3.8424 0.0320 -0.0708 9.5519" Properties=species:S:1:pos:R:3 pbc="T T T"
O 1.1788 7.7044 13.0958
C 1.0068 1.7278 2.7259
O 1.9771 5.8009 7.4280
O 0.3016 2.8204 8.0618
Ba 5.5106 6.7460 7.8336
C 4.4303 2.4658 7.6007
Ba 2.1140 4.1204 9.8518
O 3.6851 5.4795 11.8930
O 4.8801 4.2139 9.2033
O 3.0320 0.9447 3.8254
C 2.5050 5.3559 6.3630
O 3.2502 2.3422 2.0708
O 5.7565 0.1173 0.8679
Ba 4.8213 3.7013 4.1119
O 0.5444 2.4652 1.8151
O 3.1988 2.3962 7.9046
O 3.7366 5.4255 6.0592
O 2.0552 3.6077 4.7604
O 6.3909 5.3564 12.1486
O 3.9033 6.8770 10.1383
O 6.6460 6.7159 10.3798
C 5.3790 3.2230 8.5789
C 2.5630 1.6446 2.8675
C 4.3724 6.1770 11.0963
O 0.2893 1.1058 3.5839
C 1.5563 4.5987 5.3848
C 5.9285 6.0939 11.2379
O 4.9583 2.0207 6.5357
O 6.6337 5.0012 5.9019
Ba 1.4247 1.0757 6.1301
```

- energy of formation (meV per atom) = -1805
- MP2020-corrected energy (eV/atom) = -7.49
- magnetization (μB per formula unit) = 1.00
- energy above the lowest structure with this stoichiometry (eV per atom) = 0.402

## NaHfTaSi2SO12 (GGA-PBE)

Data for NaHfTaSi2SO12 after structural relaxation.

Geometry as extended XYZ:
```
108
Lattice="8.9224 0.0000 0.0000 -4.4612 7.7048 -0.0200 0.0000 -0.0616 23.0914" Properties=species:S:1:pos:R:3 pbc="T T T"
Si 1.2890 2.8922 9.6363
S 5.7299 4.7763 1.9095
O -1.5910 4.8994 8.2887
O 5.9885 2.6913 21.3555
Hf -4.3277 7.6275 8.1795
Ta 4.4557 2.4860 11.0415
Si -1.2890 2.8614 21.1820
O 5.0536 6.1259 2.0214
O 1.6823 5.2991 22.4569
O 2.8702 2.3517 0.5982
O -1.0031 3.8111 19.8364
O -1.7569 5.0013 1.7353
O 2.8702 7.4472 15.9791
O 3.8027 4.1217 12.2346
Na 8.8018 0.0271 23.0439
Hf 4.3277 7.5967 19.7252
Ta 4.4557 7.6431 3.3310
Na 0.1206 0.0579 11.4982
Ta -0.0056 5.0338 18.7320
O 3.5890 6.3088 21.0333
Na 4.5819 2.6056 19.1886
O 3.5010 3.6681 21.3445
Hf 0.1335 5.0797 0.4891
O 2.7044 7.5491 9.4257
O -0.9603 6.2775 5.9436
O 3.5890 1.2134 5.6524
Si 2.5920 5.0302 21.1504
Na -0.1206 5.1842 15.3334
O -0.5611 6.5850 13.3133
Hf -0.1335 5.0489 12.0348
Si 3.1722 5.4707 5.7811
O 0.9603 1.1512 2.1084
O 3.7261 6.2305 7.0796
O 3.7261 1.0734 14.7901
O -1.0404 6.5092 22.3518
O 5.3335 1.1826 17.1981
O -3.5890 6.3396 9.4877
Si -2.5920 5.0610 9.6047
O 3.4581 6.4204 4.4355
Si -1.8692 7.6395 5.7495
O 0.5923 3.5166 17.4223
Hf 4.3277 2.5012 4.3443
O -3.4581 6.3896 15.9812
O 6.1435 2.7514 14.7664
O 3.8689 0.9381 21.2776
O -0.7352 3.6211 22.4806
O 7.2402 0.1729 18.6216
O 0.6585 1.5432 16.0899
O 3.8689 6.0951 13.5671
O 3.9002 4.0373 5.6228
O 1.0404 1.3829 18.5165
Ta 4.4668 2.4552 22.5872
O 1.5910 4.8686 19.8344
O -0.6585 1.5739 4.5442
O 2.9339 2.7221 9.8098
Si 7.0532 2.4824 13.4599
O 5.1197 4.1525 0.6889
O 5.0536 0.9689 9.7319
Si 1.8692 7.6087 17.2952
O 5.4215 3.6989 9.7988
O 5.1964 6.1997 18.6253
S 1.2687 7.3240 9.6000
Hf 4.5947 2.4704 15.8900
O 2.7789 2.7822 3.2207
O 0.9603 6.2467 17.4893
O 7.3951 0.1744 2.1193
O 6.2181 2.4228 5.5905
O -2.8702 7.4780 4.4335
O -0.8722 3.7611 13.3429
O 1.5273 0.1436 13.6650
Na 4.3406 2.6364 7.6430
S 3.1926 4.7455 13.4552
O 1.6823 0.2037 7.0760
O 5.4643 1.2942 0.6003
Si 5.7502 0.3445 1.9459
Si 3.1722 0.3137 13.4915
S -1.2687 2.1978 5.7647
O 3.4209 3.9614 14.6613
O -1.6823 5.3299 10.9112
O -1.5273 5.2698 17.5003
S -1.2687 7.2932 21.1456
O -0.5611 1.4280 21.0237
O 0.8722 3.7919 1.7972
Ta 0.0056 5.0646 7.1863
O -2.7044 7.5183 20.9714
O 0.5611 1.4588 9.4780
O 1.7569 4.9706 13.2810
O 5.1964 1.1042 3.2444
O 0.6585 6.7002 8.3794
Na 0.1206 5.2149 3.7878
O 1.0404 6.5400 10.8061
O -0.5923 3.5474 5.8767
Si 1.8692 2.5132 1.9143
O 0.7351 3.6519 10.9349
O 5.5016 3.9922 3.1156
O -0.6585 6.6694 19.9251
O 3.4581 1.2634 12.1460
O 1.5273 5.3006 5.9546
O 6.0522 2.3209 12.1439
O 5.0223 4.0065 17.1685
Ta 4.4668 7.6123 14.8767
O 7.9622 1.1204 13.6540
O 1.0031 3.8419 8.2908
S 1.2687 2.1670 17.3104
O 0.5611 6.6158 1.7676
O 7.8821 1.4137 6.9709
Si -3.1722 5.4400 17.3268
O 2.7044 2.3920 17.1362
```

- energy of formation (meV per atom) = -3003
- MP2020-corrected energy (eV/atom) = -8.42
- magnetization (μB per formula unit) = 0.00